(a)
VASP calculation (PBE) on an optimized crystal structure of ZnP2H8O10.

Calculated values
- V (Å³/cell) = 393
- crystal system = monoclinic

Cell: 9.9609 5.4152 8.7231 Å, 56.75 90.00 90.00°
Last column: nearest neighbours and their distance in Å.
Sites, in units of the cell vectors:
Zn (0.0000, 0.0000, 0.0000)  6 O 2.13-2.17
Zn (0.5000, 0.0000, 0.5000)  6 O 2.13-2.17
P (0.2161, 0.9115, 0.3321)  4 O 1.53-1.59
P (0.2839, 0.9115, 0.8321)  4 O 1.53-1.59
P (0.7839, 0.0885, 0.6679)  4 O 1.53-1.59
P (0.7161, 0.0885, 0.1679)  4 O 1.53-1.59
H (0.0785, 0.5795, 0.8410)  1 O 1.00
H (0.4215, 0.5795, 0.3410)  1 O 1.00
H (0.9215, 0.4205, 0.1590)  1 O 1.00
H (0.5785, 0.4205, 0.6590)  1 O 1.00
H (0.9546, 0.5712, 0.7342)  1 O 1.00
H (0.5454, 0.5712, 0.2342)  1 O 1.00
H (0.0454, 0.4288, 0.2658)  1 O 1.00
H (0.4546, 0.4288, 0.7658)  1 O 1.00
H (0.1137, 0.5519, 0.5868)  1 O 1.00
H (0.3863, 0.5519, 0.0868)  1 O 1.00
H (0.8863, 0.4481, 0.4132)  1 O 1.00
H (0.6137, 0.4481, 0.9132)  1 O 1.00
H (0.2183, 0.1161, 0.4878)  1 O 1.03
H (0.2817, 0.1161, 0.9878)  1 O 1.03
H (0.7817, 0.8839, 0.5122)  1 O 1.03
H (0.7183, 0.8839, 0.0122)  1 O 1.03
O (0.1726, 0.0199, 0.1370)  1 P 1.53, 1 H 1.55
O (0.3274, 0.0199, 0.6370)  1 P 1.53, 1 H 1.55
O (0.8274, 0.9801, 0.8630)  1 P 1.53, 1 H 1.55
O (0.6726, 0.9801, 0.3630)  1 P 1.53, 1 H 1.55
O (0.3674, 0.8673, 0.3625)  1 P 1.53
O (0.1326, 0.8673, 0.8625)  1 P 1.53
O (0.6326, 0.1327, 0.6375)  1 P 1.53
O (0.8674, 0.1327, 0.1375)  1 P 1.53
O (0.1376, 0.6117, 0.4596)  1 H 1.00
O (0.3624, 0.6117, 0.9596)  1 H 1.00
O (0.8624, 0.3883, 0.5404)  1 H 1.00
O (0.6376, 0.3883, 0.0404)  1 H 1.00
O (0.1656, 0.1427, 0.3784)  1 H 1.03
O (0.3344, 0.1427, 0.8784)  1 H 1.03
O (0.8344, 0.8573, 0.6216)  1 H 1.03
O (0.6656, 0.8573, 0.1216)  1 H 1.03
O (0.0390, 0.4621, 0.7946)  2 H 1.00
O (0.4610, 0.4621, 0.2946)  2 H 1.00
O (0.9610, 0.5379, 0.2054)  2 H 1.00
O (0.5390, 0.5379, 0.7054)  2 H 1.00

---

(b)
VASP calculation (PBE) on an optimized crystal structure of ZnP2H8O10.

Calculated values
- V (Å³/cell) = 416
- crystal system = triclinic

Cell: 7.1919 7.2150 8.6436 Å, 100.94 106.82 95.36°
Last column: nearest neighbours and their distance in Å.
Sites, in units of the cell vectors:
Zn (0.0000, 0.0000, 0.0000)  6 O 2.10-2.16
Zn (0.0000, 0.5000, 0.5000)  6 O 2.03-2.26
P (0.2612, 0.6683, 0.9183)  4 O 1.48-1.62
P (0.7388, 0.3317, 0.0817)  4 O 1.48-1.62
P (0.3486, 0.3972, 0.1325)  4 O 1.50-1.62
P (0.6514, 0.6028, 0.8675)  4 O 1.50-1.62
H (0.9752, 0.1421, 0.7194)  1 O 0.99
H (0.0248, 0.8579, 0.2806)  1 O 0.99
H (0.1604, 0.0307, 0.7543)  1 O 0.99
H (0.8396, 0.9693, 0.2457)  1 O 0.99
H (0.2581, 0.8174, 0.5168)  1 O 1.00
H (0.7419, 0.1826, 0.4832)  1 O 1.00
H (0.2680, 0.6584, 0.3670)  1 O 0.99
H (0.7320, 0.3416, 0.6330)  1 O 0.99
H (0.2028, 0.2569, 0.3827)  1 O 0.99
H (0.7972, 0.7431, 0.6173)  1 O 0.99
H (0.3374, 0.3715, 0.5661)  1 O 0.99
H (0.6626, 0.6285, 0.4339)  1 O 0.99
H (0.4167, 0.1319, 0.6714)  1 O 0.98
H (0.5833, 0.8681, 0.3286)  1 O 0.98
H (0.5200, 0.9980, 0.7747)  1 O 0.98
H (0.4800, 0.0020, 0.2253)  1 O 0.98
O (0.2186, 0.4728, 0.9778)  2 P 1.62
O (0.7814, 0.5272, 0.0222)  2 P 1.62
O (0.4954, 0.6957, 0.9480)  2 P 1.61-1.62
O (0.5046, 0.3043, 0.0520)  2 P 1.61-1.62
O (0.2315, 0.8369, 0.0358)  1 P 1.50
O (0.7685, 0.1631, 0.9642)  1 P 1.50
O (0.1510, 0.6327, 0.7388)  1 P 1.48
O (0.8490, 0.3673, 0.2612)  1 P 1.48
O (0.4448, 0.5631, 0.2788)  1 P 1.51
O (0.5552, 0.4369, 0.7212)  1 P 1.51
O (0.2224, 0.2363, 0.1583)  1 P 1.50
O (0.7776, 0.7637, 0.8417)  1 P 1.50
O (0.0350, 0.0454, 0.7764)  2 H 0.99
O (0.9650, 0.9546, 0.2236)  2 H 0.99
O (0.1745, 0.7174, 0.4187)  2 H 0.99-1.00
O (0.8255, 0.2826, 0.5813)  2 H 0.99-1.00
O (0.2025, 0.3076, 0.4970)  2 H 0.99
O (0.7975, 0.6924, 0.5030)  2 H 0.99
O (0.3960, 0.0032, 0.6909)  2 H 0.98
O (0.6040, 0.9968, 0.3091)  2 H 0.98

---

Stability check: which of them is most stable? (a).

---

(a)
VASP calculation (PBE) on an optimized crystal structure of Rb3HS2O8.

Calculated values
- V (Å³/cell) = 949
- crystal system = monoclinic

Cell: 11.7567 11.7567 8.6024 Å, 70.69 70.69 59.66°
Last column: nearest neighbours and their distance in Å.
Sites, in units of the cell vectors:
Rb (0.7688, 0.2312, 0.0000)  6 O 2.87-3.08
Rb (0.2312, 0.7688, 0.0000)  6 O 2.87-3.08
Rb (0.7652, 0.7652, 0.4776)  4 O 2.80-3.13, 2 H 3.03
Rb (0.2348, 0.2348, 0.5224)  4 O 2.80-3.13, 2 H 3.03
Rb (0.3674, 0.3674, 0.8897)  8 O 2.96-3.28
Rb (0.6326, 0.6326, 0.1103)  8 O 2.96-3.28
Rb (0.1420, 0.6643, 0.5907)  7 O 2.94-3.25
Rb (0.6643, 0.1420, 0.5907)  7 O 2.94-3.25
Rb (0.8580, 0.3357, 0.4093)  7 O 2.94-3.25
Rb (0.3357, 0.8580, 0.4093)  7 O 2.94-3.25
Rb (0.1437, 0.1437, 0.0706)  9 O 2.98-3.17
Rb (0.8563, 0.8563, 0.9294)  9 O 2.98-3.17
H (0.7869, 0.5023, 0.7146)  1 O 1.01
H (0.5023, 0.7869, 0.7146)  1 O 1.01
H (0.2131, 0.4977, 0.2854)  1 O 1.01
H (0.4977, 0.2131, 0.2854)  1 O 1.01
S (0.9436, 0.4717, 0.8239)  4 O 1.46-1.62
S (0.4717, 0.9436, 0.8239)  4 O 1.46-1.62
S (0.0564, 0.5283, 0.1761)  4 O 1.46-1.62
S (0.5283, 0.0564, 0.1761)  4 O 1.46-1.62
S (0.9571, 0.9571, 0.3089)  4 O 1.49-1.50
S (0.0429, 0.0429, 0.6911)  4 O 1.49-1.50
S (0.5596, 0.5596, 0.6587)  4 O 1.49-1.54
S (0.4404, 0.4404, 0.3413)  4 O 1.49-1.54
O (0.8886, 0.4522, 0.6890)  1 H 1.01
O (0.4522, 0.8886, 0.6890)  1 H 1.01
O (0.1114, 0.5478, 0.3110)  1 H 1.01
O (0.5478, 0.1114, 0.3110)  1 H 1.01
O (0.8918, 0.6176, 0.8023)  1 S 1.47
O (0.6176, 0.8918, 0.8023)  1 S 1.47
O (0.1082, 0.3824, 0.1977)  1 S 1.47
O (0.3824, 0.1082, 0.1977)  1 S 1.47
O (0.8882, 0.4099, 0.9899)  1 S 1.47
O (0.4099, 0.8882, 0.9899)  1 S 1.47
O (0.1118, 0.5901, 0.0101)  1 S 1.47
O (0.5901, 0.1118, 0.0101)  1 S 1.47
O (0.0897, 0.4005, 0.7742)  1 S 1.46
O (0.4005, 0.0897, 0.7742)  1 S 1.46
O (0.9103, 0.5995, 0.2258)  1 S 1.46
O (0.5995, 0.9103, 0.2258)  1 S 1.46
O (0.9016, 0.9016, 0.4839)  1 S 1.50
O (0.0984, 0.0984, 0.5161)  1 S 1.50
O (0.1072, 0.8978, 0.2841)  1 S 1.50
O (0.8978, 0.1072, 0.2841)  1 S 1.50
O (0.8928, 0.1022, 0.7159)  1 S 1.50
O (0.1022, 0.8928, 0.7159)  1 S 1.50
O (0.9217, 0.9217, 0.1854)  1 S 1.49
O (0.0783, 0.0783, 0.8146)  1 S 1.49
O (0.6204, 0.4104, 0.7079)  1 S 1.49
O (0.4104, 0.6204, 0.7079)  1 S 1.49
O (0.3796, 0.5896, 0.2921)  1 S 1.49
O (0.5896, 0.3796, 0.2921)  1 S 1.49
O (0.6108, 0.6108, 0.7519)  1 S 1.54
O (0.3892, 0.3892, 0.2481)  1 S 1.54
O (0.6042, 0.6042, 0.4756)  1 S 1.49
O (0.3958, 0.3958, 0.5244)  1 S 1.49

---

(b)
VASP calculation (PBE) on an optimized crystal structure of Rb3HS2O8.

Calculated values
- V (Å³/cell) = 471
- crystal system = monoclinic

Cell: 8.3235 8.3235 10.3302 Å, 78.36 78.36 42.34°
Last column: nearest neighbours and their distance in Å.
Sites, in units of the cell vectors:
Rb (0.0336, 0.5867, 0.1523)  9 O 3.03-3.18
Rb (0.4133, 0.9664, 0.3477)  9 O 3.03-3.18
Rb (0.9664, 0.4133, 0.8477)  9 O 3.03-3.18
Rb (0.5867, 0.0336, 0.6523)  9 O 3.03-3.18
Rb (0.2441, 0.7559, 0.7500)  8 O 2.90-3.23, 2 H 3.01
Rb (0.7559, 0.2441, 0.2500)  8 O 2.90-3.23, 2 H 3.01
H (0.5000, 0.5000, 0.5000)  2 O 1.22
H (0.5000, 0.5000, 0.0000)  2 O 1.22
S (0.8317, 0.3987, 0.5352)  4 O 1.47-1.56
S (0.6013, 0.1683, 0.9648)  4 O 1.47-1.56
S (0.1683, 0.6013, 0.4648)  4 O 1.47-1.56
S (0.3987, 0.8317, 0.0352)  4 O 1.47-1.56
O (0.0523, 0.1971, 0.6034)  1 S 1.47
O (0.8029, 0.9477, 0.8966)  1 S 1.47
O (0.9477, 0.8029, 0.3966)  1 S 1.47
O (0.1971, 0.0523, 0.1034)  1 S 1.47
O (0.8824, 0.4207, 0.3903)  1 S 1.48
O (0.5793, 0.1176, 0.1097)  1 S 1.48
O (0.1176, 0.5793, 0.6097)  1 S 1.48
O (0.4207, 0.8824, 0.8903)  1 S 1.48
O (0.3416, 0.6867, 0.0539)  1 H 1.22
O (0.3133, 0.6584, 0.4461)  1 H 1.22
O (0.6584, 0.3133, 0.9461)  1 H 1.22
O (0.6867, 0.3416, 0.5539)  1 H 1.22
O (0.6275, 0.6779, 0.0948)  1 S 1.48
O (0.3221, 0.3725, 0.4052)  1 S 1.48
O (0.3725, 0.3221, 0.9052)  1 S 1.48
O (0.6779, 0.6275, 0.5948)  1 S 1.48

---

Stability check: which of them is most stable? (b).

---

(a)
VASP calculation (PBE) on an optimized crystal structure of RbH3Se2O6.

Calculated values
- V (Å³/cell) = 719
- crystal system = orthorhombic

Cell: 6.0617 6.4881 18.2776 Å, 90.00 90.00 90.00°
Last column: nearest neighbours and their distance in Å.
Sites, in units of the cell vectors:
Rb (0.0178, 0.4826, 0.1631)  7 O 2.96-3.27
Rb (0.5178, 0.0174, 0.8369)  7 O 2.96-3.27
Rb (0.9822, 0.9826, 0.3369)  7 O 2.96-3.27
Rb (0.4822, 0.5174, 0.6631)  7 O 2.96-3.27
H (0.0258, 0.2501, 0.7806)  1 O 1.03
H (0.5258, 0.2499, 0.2194)  1 O 1.03
H (0.9742, 0.7501, 0.7194)  1 O 1.03
H (0.4742, 0.7499, 0.2806)  1 O 1.03
H (0.3491, 0.5322, 0.8655)  1 O 1.06
H (0.8491, 0.9678, 0.1345)  1 O 1.06
H (0.6509, 0.0322, 0.6345)  1 O 1.06
H (0.1509, 0.4678, 0.3655)  1 O 1.06
H (0.7295, 0.7095, 0.0135)  1 O 1.04
H (0.2295, 0.7905, 0.9865)  1 O 1.04
H (0.2705, 0.2095, 0.4865)  1 O 1.04
H (0.7705, 0.2905, 0.5135)  1 O 1.04
Se (0.9629, 0.5472, 0.8536)  3 O 1.68-1.79
Se (0.4629, 0.9528, 0.1464)  3 O 1.68-1.79
Se (0.0371, 0.0472, 0.6464)  3 O 1.68-1.79
Se (0.5371, 0.4528, 0.3536)  3 O 1.68-1.79
Se (0.4806, 0.4245, 0.0060)  3 O 1.70-1.80
Se (0.9806, 0.0755, 0.9940)  3 O 1.70-1.80
Se (0.5194, 0.9245, 0.4940)  3 O 1.70-1.80
Se (0.0194, 0.5755, 0.5060)  3 O 1.70-1.80
O (0.9801, 0.5600, 0.4132)  1 H 1.48
O (0.4801, 0.9400, 0.5868)  1 H 1.48
O (0.0199, 0.0600, 0.0868)  1 H 1.48
O (0.5199, 0.4400, 0.9132)  1 H 1.48
O (0.7896, 0.4290, 0.5410)  1 H 1.04
O (0.2896, 0.0710, 0.4590)  1 H 1.04
O (0.2104, 0.9290, 0.9590)  1 H 1.04
O (0.7104, 0.5710, 0.0410)  1 H 1.04
O (0.2404, 0.4230, 0.5238)  1 H 1.55, 1 Se 1.70
O (0.7404, 0.0770, 0.4762)  1 H 1.55, 1 Se 1.70
O (0.7596, 0.9230, 0.9762)  1 H 1.55, 1 Se 1.70
O (0.2596, 0.5770, 0.0238)  1 H 1.55, 1 Se 1.70
O (0.6667, 0.3236, 0.2865)  1 H 1.57, 1 Se 1.68
O (0.1667, 0.1764, 0.7135)  1 H 1.57, 1 Se 1.68
O (0.3333, 0.8236, 0.2135)  1 H 1.57, 1 Se 1.68
O (0.8333, 0.6764, 0.7865)  1 H 1.57, 1 Se 1.68
O (0.2583, 0.4089, 0.3250)  1 H 1.06
O (0.7583, 0.0911, 0.6750)  1 H 1.06
O (0.7417, 0.9089, 0.1750)  1 H 1.06
O (0.2417, 0.5911, 0.8250)  1 H 1.06
O (0.5584, 0.7188, 0.3283)  1 H 1.03
O (0.0584, 0.7812, 0.6717)  1 H 1.03
O (0.4416, 0.2188, 0.1717)  1 H 1.03
O (0.9416, 0.2812, 0.8283)  1 H 1.03

---

(b)
VASP calculation (PBE) on an optimized crystal structure of RbH3Se2O6.

Calculated values
- V (Å³/cell) = 1536
- crystal system = orthorhombic

Cell: 6.1605 12.3927 20.1164 Å, 90.00 90.00 90.00°
Last column: nearest neighbours and their distance in Å.
Sites, in units of the cell vectors:
Rb (0.0239, 0.3751, 0.1414)  5 O 2.81-3.10, 1 H 3.13
Rb (0.9761, 0.8751, 0.3586)  5 O 2.81-3.10, 1 H 3.13
Rb (0.5239, 0.1249, 0.8586)  5 O 2.81-3.10, 1 H 3.13
Rb (0.4761, 0.6249, 0.6414)  5 O 2.81-3.10, 1 H 3.13
Rb (0.5227, 0.6260, 0.8584)  5 O 2.82-3.15, 1 H 3.15
Rb (0.4773, 0.1260, 0.6416)  5 O 2.82-3.15, 1 H 3.15
Rb (0.0227, 0.8740, 0.1416)  5 O 2.82-3.15, 1 H 3.15
Rb (0.9773, 0.3740, 0.3584)  5 O 2.82-3.15, 1 H 3.15
H (0.0645, 0.2535, 0.7989)  1 O 0.99
H (0.9355, 0.7535, 0.7011)  1 O 0.99
H (0.5645, 0.2465, 0.2011)  1 O 0.99
H (0.4355, 0.7465, 0.2989)  1 O 0.99
H (0.5634, 0.7420, 0.2063)  1 O 0.99
H (0.4366, 0.2420, 0.2937)  1 O 0.99
H (0.0634, 0.7580, 0.7937)  1 O 0.99
H (0.9366, 0.2580, 0.7063)  1 O 0.99
H (0.7182, 0.4903, 0.0142)  1 O 1.05
H (0.2818, 0.9903, 0.4858)  1 O 1.05
H (0.2182, 0.0097, 0.9858)  1 O 1.05
H (0.7818, 0.5097, 0.5142)  1 O 1.05
H (0.2184, 0.5094, 0.9858)  1 O 1.05
H (0.7816, 0.0094, 0.5142)  1 O 1.05
H (0.7184, 0.9906, 0.0142)  1 O 1.05
H (0.2816, 0.4906, 0.4858)  1 O 1.05
H (0.3521, 0.3871, 0.8726)  1 O 1.03
H (0.6479, 0.8871, 0.6274)  1 O 1.03
H (0.8521, 0.1129, 0.1274)  1 O 1.03
H (0.1479, 0.6129, 0.3726)  1 O 1.03
H (0.8545, 0.6122, 0.1274)  1 O 1.03
H (0.1455, 0.1122, 0.3726)  1 O 1.03
H (0.3545, 0.8878, 0.8726)  1 O 1.03
H (0.6455, 0.3878, 0.6274)  1 O 1.03
Se (0.9726, 0.3986, 0.8655)  2 O 1.63-1.81
Se (0.0274, 0.8986, 0.6345)  2 O 1.63-1.81
Se (0.4726, 0.1014, 0.1345)  2 O 1.63-1.81
Se (0.5274, 0.6014, 0.3655)  2 O 1.63-1.81
Se (0.4757, 0.6025, 0.1349)  2 O 1.64-1.81
Se (0.5243, 0.1025, 0.3651)  2 O 1.64-1.81
Se (0.9757, 0.8975, 0.8651)  2 O 1.64-1.81
Se (0.0243, 0.3975, 0.6349)  2 O 1.64-1.81
Se (0.4878, 0.3334, 0.0057)  3 O 1.70-1.80
Se (0.5122, 0.8334, 0.4943)  3 O 1.70-1.80
Se (0.9878, 0.1666, 0.9943)  3 O 1.70-1.80
Se (0.0122, 0.6666, 0.5057)  3 O 1.70-1.80
Se (0.9889, 0.6666, 0.9940)  3 O 1.71-1.80
Se (0.0111, 0.1666, 0.5060)  3 O 1.71-1.80
Se (0.4889, 0.8334, 0.0060)  3 O 1.71-1.80
Se (0.5111, 0.3334, 0.4940)  3 O 1.71-1.80
O (0.9357, 0.2599, 0.8278)  1 H 0.99
O (0.0643, 0.7599, 0.6722)  1 H 0.99
O (0.4357, 0.2401, 0.1722)  1 H 0.99
O (0.5643, 0.7401, 0.3278)  1 H 0.99
O (0.4447, 0.7404, 0.1735)  1 H 0.99
O (0.5553, 0.2404, 0.3265)  1 H 0.99
O (0.9447, 0.7596, 0.8265)  1 H 0.99
O (0.0553, 0.2596, 0.6735)  1 H 0.99
O (0.2535, 0.4032, 0.0193)  1 H 1.49
O (0.7465, 0.9032, 0.4807)  1 H 1.49
O (0.7535, 0.0968, 0.9807)  1 H 1.49
O (0.2465, 0.5968, 0.5193)  1 H 1.49
O (0.7547, 0.5965, 0.9806)  1 H 1.50
O (0.2453, 0.0965, 0.5194)  1 H 1.50
O (0.2547, 0.9035, 0.0194)  1 H 1.50
O (0.7453, 0.4035, 0.4806)  1 H 1.50
O (0.2477, 0.4105, 0.8352)  1 H 1.03
O (0.7523, 0.9105, 0.6648)  1 H 1.03
O (0.7477, 0.0895, 0.1648)  1 H 1.03
O (0.2523, 0.5895, 0.3352)  1 H 1.03
O (0.7509, 0.5870, 0.1645)  1 H 1.03
O (0.2491, 0.0870, 0.3355)  1 H 1.03
O (0.2509, 0.9130, 0.8355)  1 H 1.03
O (0.7491, 0.4130, 0.6645)  1 H 1.03
O (0.5345, 0.3465, 0.9223)  1 H 1.59, 1 Se 1.71
O (0.4655, 0.8465, 0.5777)  1 H 1.59, 1 Se 1.71
O (0.0345, 0.1535, 0.0777)  1 H 1.59, 1 Se 1.71
O (0.9655, 0.6535, 0.4223)  1 H 1.59, 1 Se 1.71
O (0.0358, 0.6543, 0.0775)  1 H 1.59, 1 Se 1.71
O (0.9642, 0.1543, 0.4225)  1 H 1.59, 1 Se 1.71
O (0.5358, 0.8457, 0.9225)  1 H 1.59, 1 Se 1.71
O (0.4642, 0.3457, 0.5775)  1 H 1.59, 1 Se 1.71
O (0.8401, 0.4783, 0.8150)  1 Se 1.63
O (0.1599, 0.9783, 0.6850)  1 Se 1.63
O (0.3401, 0.0217, 0.1850)  1 Se 1.63
O (0.6599, 0.5217, 0.3150)  1 Se 1.63
O (0.3421, 0.5220, 0.1848)  1 Se 1.64
O (0.6579, 0.0220, 0.3152)  1 Se 1.64
O (0.8421, 0.9780, 0.8152)  1 Se 1.64
O (0.1579, 0.4780, 0.6848)  1 Se 1.64
O (0.6936, 0.4190, 0.0414)  1 H 1.05
O (0.3064, 0.9190, 0.4586)  1 H 1.05
O (0.1936, 0.0810, 0.9586)  1 H 1.05
O (0.8064, 0.5810, 0.5414)  1 H 1.05
O (0.1946, 0.5807, 0.9586)  1 H 1.05
O (0.8054, 0.0807, 0.5414)  1 H 1.05
O (0.6946, 0.9193, 0.0414)  1 H 1.05
O (0.3054, 0.4193, 0.4586)  1 H 1.05

---

Stability check: which of them is most stable? (a).